A plane-wave DFT calculation with r²SCAN was carried out for a relaxed structure of ZrTi2H4.

Results
Formation enthalpy at 0 K, meV per atom: -524
V, Å³ per cell: 134.40

The structure in extended XYZ format:
```
14
Lattice="0.000 4.066 4.066 4.066 0.000 4.066 4.066 4.066 0.000" Properties=species:S:1:pos:R:3 pbc="T T T"
Zr 1.016 1.016 1.016
Zr 7.115 7.115 7.115
Ti 4.066 2.033 2.033
Ti 2.033 4.066 2.033
Ti 2.033 2.033 4.066
Ti 4.066 4.066 4.066
H 2.190 2.190 2.190
H 3.909 3.909 2.190
H 3.909 2.190 3.909
H 5.941 4.222 4.222
H 2.190 3.909 3.909
H 4.222 5.941 4.222
H 4.222 4.222 5.941
H 5.941 5.941 5.941
```


A plane-wave DFT calculation with r²SCAN was carried out for a relaxed structure of TmH2.

Results
Formation enthalpy at 0 K, meV per atom: -800
V, Å³ per cell: 32.36

The structure in extended XYZ format:
```
3
Lattice="0.000 2.529 2.529 2.529 0.000 2.529 2.529 2.529 0.000" Properties=species:S:1:pos:R:3 pbc="T T T"
Tm 0.000 0.000 0.000
H 1.265 1.265 1.265
H 3.794 3.794 3.794
```


A plane-wave DFT calculation with r²SCAN was carried out for a relaxed structure of UH3.

Results
Formation enthalpy at 0 K, meV per atom: -462
V, Å³ per cell: 296.42

The structure in extended XYZ format:
```
32
Lattice="6.668 0.000 0.000 0.000 6.668 0.000 0.000 0.000 6.668" Properties=species:S:1:pos:R:3 pbc="T T T"
U 0.000 0.000 0.000
U 0.000 1.667 3.334
U 0.000 5.001 3.334
U 1.667 3.334 0.000
U 3.334 0.000 1.667
U 3.334 0.000 5.001
U 3.334 3.334 3.334
U 5.001 3.334 0.000
H 0.000 2.027 1.034
H 0.000 2.027 5.633
H 0.000 4.640 1.034
H 0.000 4.640 5.633
H 1.034 0.000 2.027
H 1.034 0.000 4.640
H 1.306 3.334 2.299
H 1.306 3.334 4.368
H 2.027 1.034 0.000
H 2.027 5.633 0.000
H 2.299 1.306 3.334
H 2.299 5.361 3.334
H 3.334 2.299 1.306
H 3.334 2.299 5.361
H 3.334 4.368 1.306
H 3.334 4.368 5.361
H 4.368 1.306 3.334
H 4.368 5.361 3.334
H 4.640 1.034 0.000
H 4.640 5.633 0.000
H 5.361 3.334 2.299
H 5.361 3.334 4.368
H 5.633 0.000 2.027
H 5.633 0.000 4.640
```


A plane-wave DFT calculation with r²SCAN was carried out for a relaxed structure of UH3.

Results
Formation enthalpy at 0 K, meV per atom: -450
V, Å³ per cell: 73.35

The structure in extended XYZ format:
```
8
Lattice="4.209 0.000 0.000 0.000 4.209 0.000 0.000 0.000 4.140" Properties=species:S:1:pos:R:3 pbc="T T T"
U 0.000 2.105 0.000
U 2.105 0.000 2.070
H 0.000 0.000 1.035
H 0.000 0.000 3.105
H 1.057 2.105 2.070
H 2.105 1.057 0.000
H 2.105 3.153 0.000
H 3.153 2.105 2.070
```


A plane-wave DFT calculation with r²SCAN was carried out for a relaxed structure of Y3H2.

Results
Formation enthalpy at 0 K, meV per atom: -461
V, Å³ per cell: 207.03

The structure in extended XYZ format:
```
10
Lattice="3.701 0.000 0.000 -1.850 3.205 0.000 0.000 0.000 17.453" Properties=species:S:1:pos:R:3 pbc="T T T"
Y 0.000 2.137 1.544
Y 0.000 2.137 7.183
Y 0.000 2.137 13.089
Y 1.850 1.068 4.363
Y 1.850 1.068 10.270
Y 1.850 1.068 15.909
H 0.000 2.137 10.820
H 0.000 2.137 15.359
H 1.850 1.068 2.093
H 1.850 1.068 6.633
```


A plane-wave DFT calculation with r²SCAN was carried out for a relaxed structure of Yb3H.

Results
Formation enthalpy at 0 K, meV per atom: 749
V, Å³ per cell: 200.79

The structure in extended XYZ format:
```
8
Lattice="6.565 0.000 0.000 -3.283 5.685 0.000 0.000 0.000 5.379" Properties=species:S:1:pos:R:3 pbc="T T T"
Yb 0.000 1.924 1.345
Yb -1.617 4.724 1.345
Yb 1.666 0.962 4.035
Yb 1.617 4.724 1.345
Yb 4.899 0.962 4.035
Yb 3.283 3.762 4.035
H 0.000 3.790 4.035
H 3.283 1.895 1.345
```


A plane-wave DFT calculation with r²SCAN was carried out for a relaxed structure of YbH3.

Results
Formation enthalpy at 0 K, meV per atom: -618
V, Å³ per cell: 31.27

The structure in extended XYZ format:
```
4
Lattice="0.000 2.500 2.500 2.500 0.000 2.500 2.500 2.500 0.000" Properties=species:S:1:pos:R:3 pbc="T T T"
Yb 0.000 0.000 0.000
H 1.250 1.250 1.250
H 2.500 2.500 2.500
H 3.751 3.751 3.751
```


A plane-wave DFT calculation with r²SCAN was carried out for a relaxed structure of ZrH2.

Results
Formation enthalpy at 0 K, meV per atom: -637
V, Å³ per cell: 27.46

The structure in extended XYZ format:
```
3
Lattice="-1.764 1.764 2.207 1.764 -1.764 2.207 1.764 1.764 -2.207" Properties=species:S:1:pos:R:3 pbc="T T T"
Zr 0.000 0.000 0.000
H 1.764 0.000 1.104
H 0.000 1.764 1.104
```


A plane-wave DFT calculation with r²SCAN was carried out for a relaxed structure of ZrH.

Results
Formation enthalpy at 0 K, meV per atom: -492
V, Å³ per cell: 104.72

The structure in extended XYZ format:
```
8
Lattice="-3.993 1.528 -1.630 -1.915 -0.617 4.111 1.260 4.666 1.287" Properties=species:S:1:pos:R:3 pbc="T T T"
Zr -1.489 3.419 3.641
Zr -2.528 4.491 0.770
H -5.907 0.911 2.480
H 0.630 2.333 0.644
Zr -1.162 1.394 0.942
H -2.323 2.788 1.884
Zr -4.115 1.850 2.182
H -2.954 0.456 1.240
```


A plane-wave DFT calculation with r²SCAN was carried out for a relaxed structure of Hf.

Results
Formation enthalpy at 0 K, meV per atom: 89
Offset from the most stable computed form, eV/atom: 0.0890
V, Å³ per cell: 22.34

The structure in extended XYZ format:
```
1
Lattice="0.000 2.235 2.235 2.235 0.000 2.235 2.235 2.235 0.000" Properties=species:S:1:pos:R:3 pbc="T T T"
Hf 0.000 0.000 0.000
```


A plane-wave DFT calculation with r²SCAN was carried out for a relaxed structure of Hf.

Results
Formation enthalpy at 0 K, meV per atom: 0
Offset from the most stable computed form, eV/atom: 0.0000
V, Å³ per cell: 44.53

The structure in extended XYZ format:
```
2
Lattice="3.192 0.000 0.000 -1.596 2.765 0.000 0.000 0.000 5.045" Properties=species:S:1:pos:R:3 pbc="T T T"
Hf 0.000 1.843 1.261
Hf 1.596 0.922 3.784
```


A plane-wave DFT calculation with r²SCAN was carried out for a relaxed structure of Hf.

Results
Formation enthalpy at 0 K, meV per atom: 212
Offset from the most stable computed form, eV/atom: 0.2122
V, Å³ per cell: 22.09

The structure in extended XYZ format:
```
1
Lattice="-1.767 1.767 1.767 1.767 -1.767 1.767 1.767 1.767 -1.767" Properties=species:S:1:pos:R:3 pbc="T T T"
Hf 0.000 0.000 0.000
```


What is the formation enthalpy at 0 K in the third record? -462 meV per atom


Which value of formation enthalpy at 0 K does entry 8 give? -637 meV per atom